(1)
Below is a relaxed LiCo2NiO6 crystal, with properties calculated at the PBE+U level.

Density ... 4.476 Mg/m³
ΔE_f ... -1237 meV per atom
Energy ... -108.0 eV for the cell shown
Total magnetic moment ... 0.2000 μB/atom
Symmetry ... P1

```
LiCo2NiO6
1.0
2.8836 0.0000 0.0000
1.3761 6.3472 0.0000
0.4961 3.1832 11.3303
Li Co Ni O
2 4 2 12
Cartesian
0.0000 0.0000 0.0000
1.6612 7.9313 5.6392
1.4326 2.4365 0.9557
1.7450 4.0280 6.6556
3.0521 5.4836 4.6269
3.3490 7.1150 10.3396
0.4077 2.3928 8.4916
2.9736 0.8044 2.7988
1.4449 5.3289 3.3464
1.4220 4.1987 0.2391
1.8780 6.9325 9.1392
1.8168 5.7789 5.9864
1.3934 0.6342 1.4142
1.7272 2.2261 7.1253
3.0766 7.3300 4.1966
3.3462 8.9119 9.8619
2.8879 2.6112 2.1612
3.3695 5.3592 11.0500
3.2085 4.2022 7.8587
3.1708 3.7427 5.4290
```

(2)
Below is a relaxed Li2Co3NiO8 crystal, with properties calculated at the PBE+U level.

Density ... 4.815 Mg/m³
ΔE_f ... -1439 meV per atom
Energy ... -155.4 eV for the cell shown
Total magnetic moment ... 0.3571 μB/atom
Symmetry ... P6_3mc

```
Li2Co3NiO8
1.0
5.6383 0.0000 0.0000
-2.8191 4.8829 0.0000
0.0000 0.0000 9.4550
Li Co Ni O
4 6 2 16
Cartesian
0.0000 0.0000 0.0000
0.0000 0.0000 4.7275
0.0000 3.2552 3.7377
2.8191 1.6276 8.4652
0.0000 1.6454 6.7726
-1.3941 4.0601 6.7726
1.4250 0.8227 2.0451
1.3941 4.0601 6.7726
4.2133 0.8227 2.0451
2.8191 3.2374 2.0451
0.0000 3.2552 9.3831
2.8191 1.6276 4.6556
0.0000 0.0000 2.9752
0.0000 0.0000 7.7027
-1.2569 2.5296 7.8319
0.0000 1.5444 1.0558
-1.4816 4.1107 1.0558
1.3375 0.7722 5.7833
0.0000 3.2552 5.7710
1.2569 2.5296 7.8319
0.0000 4.7066 7.8319
2.8191 0.1763 3.1044
1.5622 2.3533 3.1044
2.8191 1.6276 1.0435
1.4816 4.1107 1.0558
4.3007 0.7722 5.7833
2.8191 3.3384 5.7833
4.0760 2.3533 3.1044
```

(3)
Below is a relaxed Li3Co2NiO6 crystal, with properties calculated at the PBE+U level.

Density ... 4.529 Mg/m³
ΔE_f ... -1588 meV per atom
Energy ... -64.5 eV for the cell shown
Total magnetic moment ... 0.4167 μB/atom
Symmetry ... P1

```
Li3Co2NiO6
1.0
2.9945 0.0000 0.0000
-0.0948 5.9534 0.0000
-1.4888 -1.5851 6.0331
Li Co Ni O
3 2 1 6
Cartesian
0.0000 0.0000 0.0000
-0.0594 2.9500 3.9708
1.4714 1.4749 1.9850
-1.5174 1.4122 5.9993
-0.0298 -0.0539 3.9957
1.4205 4.4459 1.9817
-0.0728 -0.1119 2.0771
0.0124 3.0521 1.8875
-0.0120 -0.0423 5.9270
1.4468 4.4274 0.0769
1.3941 4.4694 3.8858
1.4595 1.4023 4.0712
```

(4)
Below is a relaxed Li4Co5NiO12 crystal, with properties calculated at the PBE+U level.

Density ... 4.566 Mg/m³
ΔE_f ... -1481 meV per atom
Energy ... -243.9 eV for the cell shown
Total magnetic moment ... 0.0455 μB/atom
Symmetry ... C2/m

```
Li4Co5NiO12
1.0
10.2844 -4.2296 0.0000
10.2844 4.2296 0.0000
-1.1801 0.0000 4.7915
Li Co Ni O
8 10 2 24
Cartesian
6.5574 2.1305 4.6203
7.1564 2.1013 2.2069
12.8313 2.1305 0.1712
12.2323 2.1013 2.5847
7.1564 -2.1013 2.2069
6.5574 -2.1305 4.6203
12.2323 -2.1013 2.5847
12.8313 -2.1305 0.1712
0.0000 0.0000 0.0000
4.8456 1.3891 1.1983
9.6943 2.8165 2.3958
10.2844 1.3842 0.0000
4.8456 -1.3891 1.1983
9.6943 0.0000 2.3958
14.5431 1.3891 3.5932
10.2844 -1.3842 0.0000
9.6943 -2.8165 2.3958
14.5431 -1.3891 3.5932
4.2548 0.0000 3.5931
15.1339 0.0000 1.1984
3.0803 1.4186 4.1399
0.1309 0.0000 3.4515
8.2776 2.6971 3.7319
5.4314 1.4149 3.0461
3.6887 0.0000 1.7781
11.1111 2.6971 1.0597
8.9023 1.4171 1.3388
5.9999 0.0000 0.6171
3.0803 -1.4186 4.1399
10.4864 1.4171 3.4527
8.3666 0.0000 3.7513
5.4314 -1.4149 3.0461
13.9573 1.4149 1.7454
11.0220 0.0000 1.0402
8.9023 -1.4171 1.3388
16.3084 1.4186 0.6517
13.3888 0.0000 4.1744
10.4864 -1.4171 3.4527
8.2776 -2.6971 3.7319
15.7000 0.0000 3.0134
13.9573 -1.4149 1.7454
11.1111 -2.6971 1.0597
19.2578 0.0000 1.3400
16.3084 -1.4186 0.6517
```

(5)
Below is a relaxed Li3Co2NiO6 crystal, with properties calculated at the PBE+U level.

Density ... 4.489 Mg/m³
ΔE_f ... -1593 meV per atom
Energy ... -129.2 eV for the cell shown
Total magnetic moment ... 0.1675 μB/atom
Symmetry ... P1

```
Li3Co2NiO6
1.0
2.9896 0.0000 0.0000
-1.3989 7.5075 0.0000
-1.3385 -0.5834 9.6698
Li Co Ni O
6 4 2 12
Cartesian
0.0000 0.0000 0.0000
-1.3665 5.8880 4.8102
0.0274 4.8600 0.0057
0.1325 3.4328 4.8299
0.1750 1.8333 9.6338
1.5604 0.8451 4.8376
0.0321 1.5812 2.3546
0.1259 0.1222 7.2644
0.1486 5.0461 7.1808
1.5736 4.1500 2.4321
-1.3503 2.6255 7.2668
0.1204 6.6647 2.4238
-1.2570 0.9156 8.3556
-1.3510 4.2847 6.0708
0.0280 0.1091 3.5266
-0.0586 3.2847 1.3255
-1.3197 6.1058 8.2689
0.1219 1.5850 6.1763
0.2278 4.9464 3.5280
1.5101 0.8203 1.2243
0.1560 3.5875 8.3749
0.0822 6.7475 6.1667
1.5612 2.6202 3.4685
1.6147 5.6361 1.3642
```

(6)
Below is a relaxed Li2Co2NiO6 crystal, with properties calculated at the PBE+U level.

Density ... 4.542 Mg/m³
ΔE_f ... -1428 meV per atom
Energy ... -118.6 eV for the cell shown
Total magnetic moment ... 0.3638 μB/atom
Symmetry ... P-1

```
Li2Co2NiO6
1.0
5.8380 0.0000 0.0000
-0.1207 5.8781 0.0000
-1.5111 -1.6966 6.1032
Li Co Ni O
4 4 2 12
Cartesian
0.0000 0.0000 0.0000
-0.0348 2.7190 4.0214
2.9190 0.0000 0.0000
4.2410 1.4625 2.0818
-0.0556 -0.1294 4.0401
1.3222 4.2815 2.0531
2.8840 -0.1001 4.0501
4.2619 4.3109 2.0632
-0.0604 2.9390 0.0000
2.8587 2.9390 0.0000
-0.2178 3.0389 2.0306
-0.1091 -0.2554 2.1365
1.2959 4.3624 0.1431
-0.0279 -0.0999 5.9249
1.2198 4.4367 3.9465
1.3266 1.1647 4.2212
2.8796 3.0168 1.8820
2.9864 -0.2552 2.1567
4.2341 4.2814 0.1783
2.9103 -0.1809 5.9601
4.3153 4.4369 3.9667
4.4240 1.1426 4.0726
```

(7)
Below is a relaxed Li5Co3Ni2O10 crystal, with properties calculated at the PBE+U level.

Density ... 4.543 Mg/m³
ΔE_f ... -1558 meV per atom
Energy ... -212.4 eV for the cell shown
Total magnetic moment ... 0.0011 μB/atom
Symmetry ... P1

```
Li5Co3Ni2O10
1.0
5.1143 0.0000 0.0000
-1.9599 7.4607 0.0000
-1.4560 -3.6588 9.3656
Li Co Ni O
10 6 4 20
Cartesian
0.0000 0.0000 0.0000
-0.7307 -1.8119 4.6803
-0.9721 4.9601 0.9462
-1.6779 3.0811 5.6136
0.2162 -2.2626 7.4538
0.9784 -0.4399 2.7803
0.7295 4.2519 6.5962
1.5058 6.0653 1.8929
3.3816 0.7341 3.7305
2.6760 -1.1594 8.4240
-0.8208 0.3140 6.5696
-0.0949 2.1608 1.8835
0.8362 1.9070 4.6738
1.5803 3.7253 0.0004
1.7856 1.6368 7.4858
2.5358 3.4813 2.7993
-0.1316 4.5523 3.7543
-0.8386 2.7004 8.4723
2.5388 1.1008 0.8917
1.8368 -0.7355 5.6063
-1.9087 5.1656 2.7808
-2.4523 3.2705 7.5308
-0.9157 2.6689 3.6735
-1.5802 0.9147 8.3904
0.1622 0.2318 4.7567
0.9409 1.9329 0.1163
-0.8986 5.0184 5.5731
-0.1787 6.8428 0.9278
0.7568 3.9975 1.7864
0.0893 2.1833 6.4729
1.5864 1.6299 2.8825
0.9560 -0.2019 7.5306
1.8809 -3.0467 8.4437
2.6123 -1.0897 3.8753
0.7647 1.8651 9.2422
1.5523 3.5637 4.6221
3.2842 2.8900 0.9674
2.5888 1.0619 5.6860
4.1524 0.5194 1.8034
3.5873 -1.3555 6.5982
```

(8)
Below is a relaxed LiCo3NiO8 crystal, with properties calculated at the PBE+U level.

Density ... 4.365 Mg/m³
ΔE_f ... -1230 meV per atom
Energy ... -143.3 eV for the cell shown
Total magnetic moment ... 0.0769 μB/atom
Symmetry ... P-1

```
LiCo3NiO8
1.0
5.6855 0.0000 0.0000
-2.8121 4.9426 0.0000
-2.8270 -1.6500 10.0299
Li Co Ni O
2 6 2 16
Cartesian
-1.3534 0.8765 2.5105
1.3998 2.4161 7.5194
0.0000 0.0000 0.0000
-1.4135 -0.8250 5.0150
-1.4061 2.4713 0.0000
-2.8195 1.6463 5.0150
2.8427 0.0000 0.0000
0.0232 1.6463 5.0150
1.4293 -0.8250 5.0150
1.4367 2.4713 0.0000
-0.1056 1.5773 1.0188
-2.8443 3.2744 5.9676
-1.3915 4.1183 0.9537
-1.3963 0.8214 5.9699
-1.4082 2.3389 4.0139
-0.0391 0.0259 4.0539
-1.4033 -0.8699 9.0764
-2.8422 1.6671 9.0802
2.8886 1.6255 0.9497
1.4497 4.1625 0.9535
0.0855 3.2667 5.9760
1.4546 0.9537 6.0160
1.4427 2.4712 4.0600
1.4379 -0.8257 9.0762
2.8907 0.0182 4.0623
0.1520 1.7153 9.0111
```

(9)
Below is a relaxed Li4Co3NiP4O16 crystal, with properties calculated at the PBE+U level.

Density ... 3.687 Mg/m³
ΔE_f ... -2367 meV per atom
Energy ... -183.4 eV for the cell shown
Total magnetic moment ... 0.3928 μB/atom
Symmetry ... Pm

```
Li4Co3NiP4O16
1.0
4.7458 0.0000 0.0000
0.0000 5.9651 0.0000
-0.0065 0.0000 10.2322
Li Co Ni P O
4 3 1 4 16
Cartesian
0.0000 1.4869 0.0000
0.0000 4.4782 0.0000
2.3693 1.4877 5.0990
2.3693 4.4774 5.0990
0.1015 0.0000 2.8344
2.2464 0.0000 7.9427
4.6370 2.9826 7.3697
2.4657 2.9826 2.2739
0.4077 2.9826 4.1281
1.9700 2.9826 9.2767
2.7759 0.0000 0.9507
4.3302 0.0000 6.0585
0.9656 2.9826 5.5816
1.0782 1.7539 3.4035
1.0782 4.2112 3.4035
1.1195 0.0000 6.1070
1.2426 0.0000 0.9950
1.3089 1.7544 8.5427
1.3089 4.2107 8.5427
1.4098 2.9826 0.4914
3.3436 0.0000 9.7356
3.4371 1.2335 1.6754
3.4371 4.7317 1.6754
3.5019 2.9826 9.2143
3.6187 2.9826 4.0735
3.6707 1.2310 6.7897
3.6707 4.7342 6.7897
3.7645 0.0000 4.6142
```

(10)
Below is a relaxed Li2CoNiP2O8 crystal, with properties calculated at the PBE+U level.

Density ... 3.699 Mg/m³
ΔE_f ... -2371 meV per atom
Energy ... -181.3 eV for the cell shown
Total magnetic moment ... 0.0000 μB/atom
Symmetry ... P1

```
Li2CoNiP2O8
1.0
4.7412 0.0000 0.0000
0.0010 5.9660 0.0000
0.0018 0.0001 10.2044
Li Co Ni P O
4 2 2 4 16
Cartesian
0.0000 0.0000 0.0000
0.0012 2.9809 0.0057
2.3707 2.9848 5.1077
2.3771 5.9654 5.1065
0.0904 1.4898 2.8195
4.6609 4.4720 7.3899
2.2970 1.4917 7.9278
2.4473 4.4739 2.2799
0.3901 4.4754 4.1325
1.9920 4.4734 9.2589
2.7551 1.4896 0.9500
4.3509 1.4928 6.0765
0.9567 4.4777 5.5810
1.0561 3.2465 3.4107
1.0569 5.7026 3.4018
1.1452 1.4928 6.1341
1.2188 1.4979 0.9923
1.3284 5.7066 8.5393
1.3495 3.2390 8.5219
1.4154 4.4678 0.5006
3.3309 1.4828 9.7083
3.3963 0.2557 1.6888
3.4199 2.7236 1.6681
3.5288 4.4804 9.2161
3.5955 4.4752 4.0785
3.6849 0.2623 6.7957
3.6833 2.7203 6.8066
3.7868 1.4964 4.6274
```

(11)
Below is a relaxed Li4CoNi5P6O24 crystal, with properties calculated at the PBE+U level.

Density ... 3.598 Mg/m³
ΔE_f ... -2183 meV per atom
Energy ... -251.4 eV for the cell shown
Total magnetic moment ... 0.3250 μB/atom
Symmetry ... P1

```
Li4CoNi5P6O24
1.0
8.2849 0.0000 0.0000
3.7336 7.4661 0.0000
3.7632 2.3551 7.0883
Li Co Ni P O
4 1 5 6 24
Cartesian
0.0000 0.0000 0.0000
6.0573 7.7969 3.5471
4.7141 3.8281 2.8551
10.2917 6.3110 5.5938
4.0031 4.4566 0.0083
4.4405 4.7621 5.6156
6.3262 5.8830 1.0002
8.5101 7.2881 2.0367
8.1662 1.9217 3.5445
10.3736 3.3398 4.5621
2.3245 1.8934 1.3631
8.7956 8.9995 4.8830
7.4563 5.0535 4.2271
6.4371 2.3732 0.6880
12.9892 8.0074 6.3542
11.5877 6.1135 2.7796
1.2685 1.7205 0.2848
4.0994 2.7569 5.0853
4.2790 5.5323 1.6388
3.3547 3.0095 1.1078
6.0037 4.5995 4.4075
6.6281 7.9088 1.5289
8.8259 8.2896 6.3254
8.1183 8.1713 3.8092
7.9979 5.9369 5.3735
7.3461 5.8311 2.8682
5.8026 3.8407 0.5229
6.4921 1.8772 4.6026
5.4211 1.2900 0.9309
8.4616 3.8975 4.0960
8.2466 6.1723 0.3400
7.4520 2.5254 1.7845
10.1746 6.3263 2.3513
10.7941 4.4310 6.3544
13.1278 9.0487 5.2001
12.3680 6.6989 5.8685
12.3130 7.3791 3.2118
11.5690 4.9795 3.8647
10.0777 2.2199 2.7936
14.4554 7.8775 6.8463
```

(12)
Below is a relaxed Li4Co2Ni3SnP6O24 crystal, with properties calculated at the PBE+U level.

Density ... 3.652 Mg/m³
ΔE_f ... -2257 meV per atom
Energy ... -257.3 eV for the cell shown
Total magnetic moment ... 0.3000 μB/atom
Symmetry ... P1

```
Li4Co2Ni3SnP6O24
1.0
8.4077 0.0000 0.0000
3.8514 7.5936 0.0000
3.8552 2.4225 7.1951
Li Co Ni Sn P O
4 2 3 1 6 24
Cartesian
0.0000 0.0000 0.0000
6.3878 8.3666 3.5187
4.8402 4.2437 2.4627
10.2463 6.9142 5.7025
6.6288 6.3908 0.9604
10.6011 3.8110 4.5745
8.0170 7.3168 7.1238
8.8720 7.8594 2.0224
8.4109 2.3457 3.5211
13.1350 5.2978 5.6771
2.5568 2.3237 1.4112
5.3099 2.0045 4.9118
7.8068 5.5886 4.1845
6.7212 2.8429 0.6772
13.3984 8.6691 6.4199
12.0070 6.6743 2.7962
1.5111 2.1921 0.2583
4.3169 3.2601 5.1921
4.5353 6.0864 1.6606
3.5598 3.4342 1.1495
6.3267 5.1375 4.4702
3.0975 0.8724 1.5279
9.2070 8.8926 6.3308
8.4207 8.7986 3.8496
8.3504 6.4412 5.3317
7.6530 6.3628 2.8517
6.1005 4.2964 0.5152
6.7071 2.3986 4.5499
5.7065 1.7546 0.8761
8.5362 6.7103 0.2956
8.7372 4.3677 4.0395
7.7976 2.9338 1.7167
10.5770 6.8770 2.3980
11.1616 5.0166 6.3667
9.6184 2.0639 5.2271
12.8243 7.2788 5.9521
12.7245 7.9152 3.3006
11.9919 5.4701 3.8878
14.8375 8.5252 6.9125
10.3482 2.6225 2.8069
```